Here is a relaxed Nd4MgTa4Ti4O24 crystal from the Materials Project database. Energies are from GGA-PBE.

Structure (CIF):
```
data_Nd4MgTa4Ti4O24
_cell_length_a 5.343
_cell_length_b 7.613
_cell_length_c 11.308
_cell_angle_alpha 90.20
_cell_angle_beta 90.56
_cell_angle_gamma 90.19
_space_group_name_H-M_alt 'P 1'
_space_group_IT_number 1
loop_
_space_group_symop_operation_xyz
'x,y,z'
loop_
_atom_site_label
_atom_site_type_symbol
_atom_site_fract_x
_atom_site_fract_y
_atom_site_fract_z
O1 O 0.758 0.539 0.027
O2 O 0.333 0.752 0.612
O3 O 0.952 0.251 0.146
O4 O 0.255 0.448 0.471
O5 O 0.528 0.250 0.643
O6 O 0.124 0.050 0.714
O7 O 0.233 0.462 0.979
O8 O 0.839 0.250 0.880
O9 O 0.468 0.751 0.359
O10 O 0.730 0.539 0.527
O11 O 0.359 0.429 0.224
O12 O 0.040 0.750 0.862
O13 O 0.726 0.248 0.381
O14 O 0.882 0.945 0.283
O15 O 0.761 0.962 0.023
O16 O 0.365 0.073 0.221
O17 O 0.236 0.039 0.975
O18 O 0.884 0.555 0.286
O19 O 0.619 0.940 0.786
O20 O 0.179 0.753 0.121
O21 O 0.620 0.558 0.786
O22 O 0.249 0.060 0.458
O23 O 0.726 0.961 0.525
O24 O 0.119 0.449 0.716
Ta1 Ta 0.953 0.006 0.859
Ta2 Ta 0.048 0.517 0.136
Ta3 Ta 0.560 0.002 0.361
Ta4 Ta 0.448 0.508 0.641
Ti1 Ti 0.456 0.992 0.644
Ti2 Ti 0.953 0.495 0.859
Ti3 Ti 0.559 0.494 0.365
Ti4 Ti 0.045 0.988 0.131
Nd1 Nd 0.545 0.249 0.048
Nd2 Nd 0.944 0.248 0.572
Nd3 Nd 0.456 0.748 0.948
Nd4 Nd 0.047 0.747 0.449
Mg1 Mg 0.101 0.241 0.315
```

Polymorph energy (0 for the lowest one) = 0 meV/atom
Final energy = -332.50 eV per formula unit
Energy of formation = -130.547 eV/f.u.
M_tot = 0.054 μB per atom